# PBE ZnP3C6N2O12, relaxed
# Density: 1.8 g/cm3
# Energy of formation from the pure elements: -5.94 eV/f.u.
# Energy: -6.1090 eV per atom
data_ZnP3C6N2O12
_cell_length_a 9.9687
_cell_length_b 10.8041
_cell_length_c 15.5746
_cell_angle_alpha 90.00
_cell_angle_beta 90.00
_cell_angle_gamma 90.00
_space_group_name_H-M_alt 'P 21 21 21'
_space_group_IT_number 19
_space_group_name_Hall 'P 2ac 2ab'
loop_
_atom_site_label
_atom_site_type_symbol
_atom_site_fract_x
_atom_site_fract_y
_atom_site_fract_z
Zn1 Zn 0.1036 0.2374 0.0906
P1 P 0.0662 0.4954 0.4561
P2 P 0.1572 0.8912 0.4915
P3 P 0.2467 0.7884 0.7709
C1 C 0.1371 0.2578 0.6240
C2 C 0.1534 0.6142 0.1879
C3 C 0.1667 0.8093 0.2298
C4 C 0.2079 0.2134 0.7615
C5 C 0.2192 0.4071 0.7169
C6 C 0.2404 0.7567 0.0932
N1 N 0.1354 0.2995 0.7096
N2 N 0.1392 0.7369 0.1546
O1 O 0.0130 0.5041 0.5492
O2 O 0.0162 0.0749 0.1067
O3 O 0.0382 0.8538 0.4359
O4 O 0.0720 0.3604 0.4256
O5 O 0.1126 0.9621 0.5732
O6 O 0.1228 0.8524 0.7310
O7 O 0.1600 0.1101 0.3082
O8 O 0.1709 0.2853 0.2044
O9 O 0.1868 0.7031 0.8400
O10 O 0.2142 0.5385 0.4624
O11 O 0.2420 0.9956 0.4482
O12 O 0.2462 0.7784 0.5123

# PBE ZnP2C4NO8, relaxed
# Density: 1.7 g/cm3
# Energy of formation from the pure elements: -7.83 eV/f.u.
# Energy: -6.2034 eV per atom
data_ZnP2C4NO8
_cell_length_a 9.6943
_cell_length_b 15.7788
_cell_length_c 15.7870
_cell_angle_alpha 90.00
_cell_angle_beta 90.00
_cell_angle_gamma 90.00
_space_group_name_H-M_alt 'F d d 2'
_space_group_IT_number 43
_space_group_name_Hall 'F 2 -2d'
loop_
_atom_site_label
_atom_site_type_symbol
_atom_site_fract_x
_atom_site_fract_y
_atom_site_fract_z
Zn1 Zn 0.0000 0.0000 0.0000
P1 P 0.0270 0.1308 0.1543
C1 C 0.0578 0.4593 0.1254
C2 C 0.0703 0.4918 0.2096
N1 N 0.0000 0.0000 0.5583
O1 O 0.0404 0.0723 0.2344
O2 O 0.0803 0.0885 0.0723
O3 O 0.1080 0.2123 0.1710
O4 O 0.1187 0.1082 0.4055

# PBE Zn4P5C2N6O20, relaxed
# Density: 2.4 g/cm3
# Energy of formation from the pure elements: -38.37 eV/f.u.
# Energy: -6.0588 eV per atom
data_Zn4P5C2N6O20
_cell_length_a 29.7553
_cell_length_b 5.3370
_cell_length_c 17.8591
_cell_angle_alpha 90.00
_cell_angle_beta 125.40
_cell_angle_gamma 90.00
_space_group_name_H-M_alt 'C 1 2/c 1'
_space_group_IT_number 15
_space_group_name_Hall '-C 2yc'
loop_
_atom_site_label
_atom_site_type_symbol
_atom_site_fract_x
_atom_site_fract_y
_atom_site_fract_z
Zn1 Zn 0.0832 0.1791 0.2086
Zn2 Zn 0.2105 0.2380 0.7424
P1 P 0.0000 0.4450 0.2500
P2 P 0.0774 0.3039 0.6058
P3 P 0.2189 0.2455 0.3442
C1 C 0.1438 0.1524 0.9781
N1 N 0.1149 0.0653 0.4484
N2 N 0.1500 0.2767 0.0491
N3 N 0.1671 0.2430 0.9372
O1 O 0.0256 0.3655 0.8313
O2 O 0.0368 0.2286 0.5036
O3 O 0.0457 0.2821 0.2618
O4 O 0.0583 0.1566 0.6576
O5 O 0.0762 0.4138 0.1188
O6 O 0.1354 0.2180 0.6371
O7 O 0.1621 0.1393 0.3088
O8 O 0.2189 0.4695 0.8317
O9 O 0.2372 0.3198 0.5536
O10 O 0.2399 0.1085 0.2899

# PBE ZnP3C4NO12, relaxed
# Density: 1.8 g/cm3
# Energy of formation from the pure elements: -12.94 eV/f.u.
# Energy: -6.0390 eV per atom
data_ZnP3C4NO12
_cell_length_a 9.1648
_cell_length_b 9.8521
_cell_length_c 10.0418
_cell_angle_alpha 62.86
_cell_angle_beta 89.92
_cell_angle_gamma 76.52
_space_group_name_H-M_alt 'P -1'
_space_group_IT_number 2
_space_group_name_Hall '-P 1'
loop_
_atom_site_label
_atom_site_type_symbol
_atom_site_fract_x
_atom_site_fract_y
_atom_site_fract_z
Zn1 Zn 0.1089 0.0724 0.2756
P1 P 0.1319 0.7821 0.0210
P2 P 0.1683 0.7610 0.6041
P3 P 0.3314 0.2799 0.0750
C1 C 0.2873 0.2268 0.6791
C2 C 0.3350 0.3789 0.5113
C3 C 0.4041 0.1707 0.5549
C4 C 0.4405 0.2485 0.6443
N1 N 0.2443 0.2693 0.5207
O1 O 0.0077 0.7923 0.6461
O2 O 0.0164 0.9116 0.8897
O3 O 0.0606 0.6579 0.1402
O4 O 0.1716 0.8555 0.4340
O5 O 0.1943 0.3876 0.9538
O6 O 0.2098 0.8452 0.1082
O7 O 0.2394 0.5825 0.6565
O8 O 0.2603 0.6940 0.9649
O9 O 0.2836 0.7968 0.6901
O10 O 0.2922 0.1389 0.2066
O11 O 0.3869 0.3789 0.1372
O12 O 0.4618 0.2203 0.0024

# PBE PrC19S6N9O2, relaxed
# Density: 1.3 g/cm3
# Energy of formation from the pure elements: 22.25 eV/f.u.
# Energy: -7.1957 eV per atom
data_PrC19S6N9O2
_cell_length_a 8.2692
_cell_length_b 24.0227
_cell_length_c 8.9996
_cell_angle_alpha 90.00
_cell_angle_beta 94.40
_cell_angle_gamma 90.00
_space_group_name_H-M_alt 'P 1 21 1'
_space_group_IT_number 4
_space_group_name_Hall 'P 2yb'
loop_
_atom_site_label
_atom_site_type_symbol
_atom_site_fract_x
_atom_site_fract_y
_atom_site_fract_z
Pr1 Pr 0.1853 0.0000 0.0635
C1 C 0.0177 0.2964 0.7275
C2 C 0.0418 0.6862 0.9420
C3 C 0.0957 0.7247 0.8328
C4 C 0.1067 0.0132 0.4825
C5 C 0.1153 0.1001 0.7526
C6 C 0.1430 0.7720 0.7699
C7 C 0.1459 0.3197 0.6993
C8 C 0.1726 0.4269 0.0803
C9 C 0.1966 0.8155 0.7176
C10 C 0.2253 0.8469 0.1846
C11 C 0.2279 0.5326 0.8327
C12 C 0.2671 0.3494 0.6492
C13 C 0.2717 0.9205 0.7275
C14 C 0.2851 0.5459 0.3373
C15 C 0.2923 0.1399 0.1917
C16 C 0.3533 0.4003 0.6212
C17 C 0.3676 0.1467 0.6823
C18 C 0.4861 0.6224 0.3007
C19 C 0.4955 0.1787 0.7521
S1 S 0.1595 0.1449 0.6186
S2 S 0.1666 0.7808 0.2275
S3 S 0.2801 0.8629 0.6174
S4 S 0.3463 0.2032 0.2257
S5 S 0.3599 0.4127 0.1233
S6 S 0.4211 0.5505 0.8140
N1 N 0.0339 0.4384 0.0452
N2 N 0.0815 0.6695 0.8060
N3 N 0.0872 0.5259 0.8395
N4 N 0.0969 0.0696 0.8512
N5 N 0.2507 0.0929 0.1669
N6 N 0.2541 0.8932 0.1575
N7 N 0.2668 0.9597 0.8040
N8 N 0.3847 0.5807 0.3170
N9 N 0.4008 0.3496 0.5734
O1 O 0.1784 0.9922 0.3938
O2 O 0.4683 0.0027 0.1107

# PBE PuCNO5, relaxed
# Density: 4.8 g/cm3
# Energy of formation from the pure elements: -12.57 eV/f.u.
# Energy: -8.2140 eV per atom
data_PuCNO5
_cell_length_a 5.0645
_cell_length_b 8.7363
_cell_length_c 10.9258
_cell_angle_alpha 90.00
_cell_angle_beta 90.00
_cell_angle_gamma 90.00
_space_group_name_H-M_alt 'C m c m'
_space_group_IT_number 63
_space_group_name_Hall '-C 2c 2'
loop_
_atom_site_label
_atom_site_type_symbol
_atom_site_fract_x
_atom_site_fract_y
_atom_site_fract_z
Pu1 Pu 0.0000 0.1668 0.2500
C1 C 0.0000 0.1666 0.7500
N1 N 0.0000 0.5000 0.0000
O1 O 0.0000 0.1667 0.0882
O2 O 0.0000 0.3144 0.7500
O3 O 0.2205 0.0928 0.7500

# PBE SrC2S2N2O3, relaxed
# Density: 2.2 g/cm3
# Energy of formation from the pure elements: -10.82 eV/f.u.
# Energy: -6.8694 eV per atom
data_SrC2S2N2O3
_cell_length_a 7.6938
_cell_length_b 7.2267
_cell_length_c 15.3361
_cell_angle_alpha 90.00
_cell_angle_beta 115.67
_cell_angle_gamma 90.00
_space_group_name_H-M_alt 'P 1 21/c 1'
_space_group_IT_number 14
_space_group_name_Hall '-P 2ybc'
loop_
_atom_site_label
_atom_site_type_symbol
_atom_site_fract_x
_atom_site_fract_y
_atom_site_fract_z
Sr1 Sr 0.1324 0.2369 0.0549
C1 C 0.0793 0.5849 0.1867
C2 C 0.3685 0.6535 0.5354
S1 S 0.1843 0.6259 0.3014
S2 S 0.3619 0.5265 0.8236
N1 N 0.0011 0.5489 0.1023
N2 N 0.2156 0.5963 0.5283
O1 O 0.2713 0.0815 0.2344
O2 O 0.4453 0.0959 0.6576
O3 O 0.4797 0.2132 0.9586